Here is a relaxed structure of Ba2Cd3Bi4 from the Materials Project database. Energies are from r2SCAN.

a = 9.4975 Å, b = 9.4975 Å, c = 9.4088 Å
α = 90.00°, β = 90.00°, γ = 136.41°
Closest atoms and distances in Å follow each position.
Fractional positions:
1 Ba 0.1168 0.8832 0.9231  8 Bi 3.67-3.83, 4 Cd 3.75-3.99
2 Ba 0.3832 0.6168 0.4231  8 Bi 3.67-3.83, 4 Cd 3.75-3.99
3 Ba 0.6168 0.3832 0.5769  8 Bi 3.67-3.83, 4 Cd 3.75-3.99
4 Ba 0.8832 0.1168 0.0769  8 Bi 3.67-3.83, 4 Cd 3.75-3.99
5 Cd 0.9998 0.0000 0.5000  6 Bi 3.08-3.34
6 Cd 0.0299 0.4701 0.7500  3 Bi 2.96-3.02
7 Cd 0.4701 0.0299 0.2500  3 Bi 2.96-3.02
8 Cd 0.5002 0.5000 0.0000  6 Bi 3.08-3.34
9 Cd 0.5299 0.9701 0.7500  3 Bi 2.96-3.02
10 Cd 0.9701 0.5299 0.2500  3 Bi 2.96-3.02
11 Bi 0.1871 0.8129 0.5563  3 Cd 3.02-3.34
12 Bi 0.1976 0.3024 0.7500  3 Cd 2.96-3.08
13 Bi 0.3024 0.1976 0.2500  3 Cd 2.96-3.08
14 Bi 0.3129 0.6871 0.0563  3 Cd 3.02-3.34
15 Bi 0.6871 0.3129 0.9437  3 Cd 3.02-3.34
16 Bi 0.6976 0.8024 0.7500  3 Cd 2.96-3.08
17 Bi 0.8024 0.6976 0.2500  3 Cd 2.96-3.08
18 Bi 0.8129 0.1871 0.4437  3 Cd 3.02-3.34


Here is a relaxed structure of Ba3BiCl3O3 from the Materials Project database. Energies are from r2SCAN.

a = 7.0902 Å, b = 12.1303 Å, c = 12.3038 Å
α = 90.00°, β = 90.00°, γ = 90.00°
Closest atoms and distances in Å follow each position.
Fractional positions:
1 Ba 0.1501 0.2500 0.0301  3 O 2.60-2.67
2 Ba 0.1701 0.0674 0.3869  3 O 2.59-2.73
3 Ba 0.1701 0.4326 0.3869  3 O 2.59-2.73
4 Ba 0.3299 0.5674 0.8869  3 O 2.59-2.73
5 Ba 0.3299 0.9326 0.8869  3 O 2.59-2.73
6 Ba 0.3499 0.7500 0.5301  3 O 2.60-2.67
7 Ba 0.6501 0.2500 0.4699  3 O 2.60-2.67
8 Ba 0.6701 0.0674 0.1131  3 O 2.59-2.73
9 Ba 0.6701 0.4326 0.1131  3 O 2.59-2.73
10 Ba 0.8299 0.5674 0.6131  3 O 2.59-2.73
11 Ba 0.8299 0.9326 0.6131  3 O 2.59-2.73
12 Ba 0.8499 0.7500 0.9699  3 O 2.60-2.67
13 Bi 0.0979 0.2500 0.6228  3 O 2.08-2.10
14 Bi 0.4021 0.7500 0.1228  3 O 2.08-2.10
15 Bi 0.5979 0.2500 0.8772  3 O 2.08-2.10
16 Bi 0.9021 0.7500 0.3772  3 O 2.08-2.10
17 Cl 0.0839 0.7500 0.7342  6 Ba 3.14-3.39, 1 O 3.32
18 Cl 0.1113 0.5052 0.1357  4 Ba 3.24-3.51, 2 O 3.53-3.60, 1 Bi 3.62
19 Cl 0.1113 0.9948 0.1357  4 Ba 3.24-3.51, 2 O 3.53-3.60, 1 Bi 3.62
20 Cl 0.3887 0.0052 0.6357  4 Ba 3.24-3.51, 2 O 3.53-3.60, 1 Bi 3.62
21 Cl 0.3887 0.4948 0.6357  4 Ba 3.24-3.51, 2 O 3.53-3.60, 1 Bi 3.62
22 Cl 0.4161 0.2500 0.2342  6 Ba 3.14-3.39, 1 O 3.32
23 Cl 0.5839 0.7500 0.7658  6 Ba 3.14-3.39, 1 O 3.32
24 Cl 0.6113 0.5052 0.3643  4 Ba 3.24-3.51, 2 O 3.53-3.60, 1 Bi 3.62
25 Cl 0.6113 0.9948 0.3643  4 Ba 3.24-3.51, 2 O 3.53-3.60, 1 Bi 3.62
26 Cl 0.8887 0.0052 0.8643  4 Ba 3.24-3.51, 2 O 3.53-3.60, 1 Bi 3.62
27 Cl 0.8887 0.4948 0.8643  4 Ba 3.24-3.51, 2 O 3.53-3.60, 1 Bi 3.62
28 Cl 0.9161 0.2500 0.2658  6 Ba 3.14-3.39, 1 O 3.32
29 O 0.0696 0.6277 0.4494  1 Bi 2.10
30 O 0.0696 0.8723 0.4494  1 Bi 2.10
31 O 0.2149 0.7500 0.9930  1 Bi 2.08
32 O 0.2851 0.2500 0.4930  1 Bi 2.08
33 O 0.4304 0.1277 0.9494  1 Bi 2.10
34 O 0.4304 0.3723 0.9494  1 Bi 2.10
35 O 0.5696 0.6277 0.0506  1 Bi 2.10
36 O 0.5696 0.8723 0.0506  1 Bi 2.10
37 O 0.7149 0.7500 0.5070  1 Bi 2.08
38 O 0.7851 0.2500 0.0070  1 Bi 2.08
39 O 0.9304 0.1277 0.5506  1 Bi 2.10
40 O 0.9304 0.3723 0.5506  1 Bi 2.10


Here is a relaxed structure of K2Ba6Yb3Bi5O24 from the Materials Project database. Energies are from r2SCAN.

a = 12.7654 Å, b = 12.7654 Å, c = 6.0426 Å
α = 90.00°, β = 90.00°, γ = 140.99°
Closest atoms and distances in Å follow each position.
Fractional positions:
1 K 0.0000 0.5000 0.0000  12 O 3.02-3.10
2 K 0.5000 0.0000 0.0000  12 O 3.02-3.10
3 Ba 0.1236 0.3739 0.5000  12 O 2.94-3.02
4 Ba 0.2475 0.2475 0.0000  12 O 2.98-3.03
5 Ba 0.3739 0.1236 0.5000  12 O 2.94-3.02
6 Ba 0.6261 0.8764 0.5000  12 O 2.94-3.02
7 Ba 0.7525 0.7525 0.0000  12 O 2.98-3.03
8 Ba 0.8764 0.6261 0.5000  12 O 2.94-3.02
9 Yb 0.1274 0.8726 0.0000  6 O 2.15-2.19
10 Yb 0.5000 0.5000 0.5000  6 O 2.16-2.17
11 Yb 0.8726 0.1274 0.0000  6 O 2.15-2.19
12 Bi 0.0000 0.0000 0.5000  6 O 2.10-2.11
13 Bi 0.2489 0.7511 0.5000  6 O 2.06-2.13
14 Bi 0.3749 0.6251 0.0000  6 O 2.08-2.16
15 Bi 0.6251 0.3749 0.0000  6 O 2.08-2.16
16 Bi 0.7511 0.2489 0.5000  6 O 2.06-2.13
17 O 0.0000 0.5000 0.5000  2 Bi 2.13
18 O 0.0618 0.9382 0.2519  1 Bi 2.11, 1 Yb 2.19
19 O 0.0618 0.9382 0.7481  1 Bi 2.11, 1 Yb 2.19
20 O 0.1321 0.3800 0.0000  1 Bi 2.08, 1 Yb 2.18
21 O 0.1873 0.8127 0.2629  1 Bi 2.06, 1 Yb 2.15
22 O 0.1873 0.8127 0.7371  1 Bi 2.06, 1 Yb 2.15
23 O 0.2461 0.2461 0.5000  1 Bi 2.10, 1 Yb 2.16
24 O 0.3152 0.6848 0.2659  2 Bi 2.13-2.16
25 O 0.3152 0.6848 0.7341  2 Bi 2.13-2.16
26 O 0.3800 0.1321 0.0000  1 Bi 2.08, 1 Yb 2.18
27 O 0.4363 0.5637 0.2457  1 Bi 2.09, 1 Yb 2.17
28 O 0.4363 0.5637 0.7543  1 Bi 2.09, 1 Yb 2.17
29 O 0.5000 0.0000 0.5000  2 Bi 2.13
30 O 0.5637 0.4363 0.2457  1 Bi 2.09, 1 Yb 2.17
31 O 0.5637 0.4363 0.7543  1 Bi 2.09, 1 Yb 2.17
32 O 0.6200 0.8679 0.0000  1 Bi 2.08, 1 Yb 2.18
33 O 0.6848 0.3152 0.2659  2 Bi 2.13-2.16
34 O 0.6848 0.3152 0.7341  2 Bi 2.13-2.16
35 O 0.7539 0.7539 0.5000  1 Bi 2.10, 1 Yb 2.16
36 O 0.8127 0.1873 0.2629  1 Bi 2.06, 1 Yb 2.15
37 O 0.8127 0.1873 0.7371  1 Bi 2.06, 1 Yb 2.15
38 O 0.8679 0.6200 0.0000  1 Bi 2.08, 1 Yb 2.18
39 O 0.9382 0.0618 0.2519  1 Bi 2.11, 1 Yb 2.19
40 O 0.9382 0.0618 0.7481  1 Bi 2.11, 1 Yb 2.19


Here is a relaxed structure of BaMg2Bi2 from the Materials Project database. Energies are from r2SCAN.

a = 4.8984 Å, b = 4.8984 Å, c = 8.3323 Å
α = 90.00°, β = 90.00°, γ = 120.00°
Closest atoms and distances in Å follow each position.
Fractional positions:
1 Ba 0.0000 0.0000 0.0000  6 Bi 3.59
2 Mg 0.3333 0.6667 0.6219  4 Bi 2.97-2.98
3 Mg 0.6667 0.3333 0.3781  4 Bi 2.97-2.98
4 Bi 0.3333 0.6667 0.2659  4 Mg 2.97-2.98
5 Bi 0.6667 0.3333 0.7341  4 Mg 2.97-2.98


Uncorrected energy in eV/atom, matching the order above: -39.14 -19.98 -20.25 -31.12